No. 1
## Na2MgSiSnS2O12 (PBE-GGA)

Data for crystalline Na2MgSiSnS2O12 at its relaxed geometry.

Computed properties:
Total energy (eV per formula unit): -116.71
ΔH_f (0 K) (meV/atom): -2296
Space-group type: Cc (9)
Volume (Å³/cell): 1560.3

Structure (POSCAR):
```
Na2MgSiSnS2O12
1.0
7.672 -4.478 0.000
7.672 4.478 0.000
-0.331 0.000 22.708
Na Mg Si Sn S O
12 6 6 6 12 72
Cartesian
4.826 2.850 5.690
7.506 4.439 11.354
5.299 2.883 13.169
5.129 0.156 3.781
9.889 2.862 20.726
4.963 -0.156 15.135
4.660 -2.850 17.044
10.093 0.052 18.932
5.465 -2.883 1.815
10.258 -0.052 7.579
10.054 -2.862 9.372
7.672 -4.439 0.000
-0.158 0.032 19.453
0.008 -0.032 8.099
5.316 0.045 0.536
5.150 -0.045 11.890
10.165 0.162 15.687
10.331 -0.162 4.333
2.286 1.330 5.903
5.211 2.659 9.673
2.120 -1.330 17.257
5.045 -2.659 21.026
12.500 1.402 13.488
12.666 -1.402 2.134
0.007 0.032 14.884
0.172 -0.032 3.530
5.084 0.049 7.315
4.918 -0.049 18.669
10.389 0.021 11.089
10.223 -0.021 22.443
5.338 3.118 17.174
2.722 1.330 20.964
7.799 1.825 5.826
7.209 1.295 20.961
2.888 -1.330 9.610
10.350 2.599 2.030
7.978 1.277 13.358
7.374 -1.295 9.607
8.143 -1.277 2.004
5.503 -3.118 5.820
7.633 -1.825 17.180
10.184 -2.599 13.384
6.468 3.621 9.451
1.428 0.668 20.790
1.703 0.612 4.501
6.130 3.294 15.895
3.576 1.215 19.718
4.842 1.756 8.279
3.732 1.066 13.250
3.382 0.747 22.120
5.266 1.742 10.988
5.167 1.510 1.885
5.263 1.622 17.339
1.537 -0.612 15.854
1.594 -0.668 9.436
3.851 0.624 5.851
7.442 2.641 4.587
7.424 2.737 20.824
9.142 3.490 2.091
8.968 3.501 18.575
7.834 2.783 13.448
7.932 2.673 6.996
6.368 1.018 22.111
3.548 -0.747 10.766
3.685 -0.624 17.205
6.558 0.946 5.931
6.622 0.732 13.222
6.640 0.714 19.683
3.897 -1.066 1.896
3.742 -1.215 8.364
10.095 1.825 0.741
8.796 1.056 12.106
8.986 1.019 5.610
10.484 1.718 3.176
8.606 0.704 14.534
10.043 1.553 17.121
10.352 1.662 9.715
5.001 -1.510 13.239
8.574 0.639 21.083
4.677 -1.756 19.633
6.788 -0.732 1.868
6.805 -0.714 8.329
6.393 -0.946 17.285
5.429 -1.622 5.985
5.100 -1.742 22.342
6.534 -1.018 10.758
11.215 0.969 21.012
8.740 -0.639 9.729
8.771 -0.704 3.180
11.671 1.012 14.794
11.824 0.801 5.659
8.962 -1.056 0.752
8.820 -1.019 16.964
11.954 0.548 12.134
6.295 -3.294 4.541
7.276 -2.641 15.941
7.590 -2.737 9.470
7.766 -2.673 18.349
13.813 0.700 6.943
8.000 -2.783 2.094
6.302 -3.621 20.805
10.209 -1.553 5.767
12.120 -0.548 0.780
11.380 -0.969 9.658
9.929 -1.825 12.095
11.658 -0.801 17.012
13.993 0.528 13.540
10.186 -1.662 21.069
10.319 -1.718 14.530
11.836 -1.012 3.440
14.159 -0.528 2.186
13.647 -0.700 18.297
8.976 -3.490 13.445
9.134 -3.501 7.221
```

---

No. 2
## ThSc2B12Rh12 (PBE-GGA)

Data for crystalline ThSc2B12Rh12 at its relaxed geometry.

Computed properties:
Total energy (eV per formula unit): -203.31
ΔH_f (0 K) (meV/atom): -545
Space-group type: P-4m2 (115)
Volume (Å³/cell): 634.9

Structure (POSCAR):
```
ThSc2B12Rh12
1.0
5.331 0.000 0.000
0.000 5.331 0.000
0.000 0.000 22.338
Th Sc B Rh
2 4 24 24
Cartesian
0.000 0.000 3.736
0.000 0.000 18.602
0.000 0.000 11.169
2.666 2.666 0.000
2.666 2.666 7.451
2.666 2.666 14.887
0.000 1.759 13.751
0.000 1.765 6.397
0.000 1.762 21.239
0.000 3.566 6.397
0.000 3.569 21.239
0.000 3.572 13.751
0.888 2.666 2.609
0.889 2.666 17.483
0.903 2.666 10.081
1.759 0.000 8.587
1.762 0.000 1.099
1.765 0.000 15.941
2.666 0.889 4.855
2.666 0.888 19.729
2.666 0.903 12.257
2.666 4.428 12.257
2.666 4.442 4.855
2.666 4.444 19.729
3.569 0.000 1.099
3.566 0.000 15.941
3.572 0.000 8.587
4.428 2.666 10.081
4.444 2.666 2.609
4.442 2.666 17.483
0.000 1.327 8.570
0.000 1.339 15.918
0.000 1.343 1.054
0.000 3.989 1.054
0.000 3.992 15.918
0.000 4.004 8.570
1.327 0.000 13.768
1.339 0.000 6.420
1.343 0.000 21.284
1.342 2.666 4.884
1.341 2.666 12.263
1.342 2.666 19.749
2.666 1.342 2.590
2.666 1.341 10.075
2.666 1.342 17.454
2.666 3.990 2.590
2.666 3.990 10.075
2.666 3.989 17.454
3.989 0.000 21.284
3.989 2.666 4.884
3.990 2.666 12.263
3.990 2.666 19.749
3.992 0.000 6.420
4.004 0.000 13.768
```

---

No. 3
## Ce4B14O27 (PBE-GGA)

Data for crystalline Ce4B14O27 at its relaxed geometry.

Computed properties:
Total energy (eV per formula unit): -371.71
ΔH_f (0 K) (meV/atom): -3098
Space-group type: C2/c (15)
Volume (Å³/cell): 915.6

Structure (POSCAR):
```
Ce4B14O27
1.0
5.627 -3.240 0.000
5.627 3.240 0.000
-4.594 0.000 25.112
Ce B O
8 28 54
Cartesian
1.054 0.604 4.632
1.943 1.622 13.969
-1.243 -0.604 17.187
2.421 1.622 23.699
4.240 -1.622 1.413
7.903 0.604 7.924
4.718 -1.622 11.143
5.606 -0.604 20.480
1.670 0.927 1.178
-2.793 0.426 21.370
4.184 1.548 1.370
-0.496 -0.426 8.814
1.356 1.501 17.712
1.682 0.504 8.164
2.327 1.097 10.611
-0.626 -0.927 13.734
-0.615 -0.504 20.720
3.008 1.501 19.956
4.773 1.548 11.186
4.149 0.652 7.873
4.808 0.652 4.683
6.630 1.097 1.945
0.030 -1.097 23.167
1.852 -0.652 20.429
2.511 -0.652 17.239
1.887 -1.548 13.926
3.653 -1.501 5.156
7.276 0.504 4.392
7.287 0.927 11.378
4.334 -1.097 14.500
4.979 -0.504 16.947
5.304 -1.501 7.400
7.156 0.426 16.298
2.476 -1.548 23.742
9.453 -0.426 3.742
4.990 -0.927 23.934
-0.081 1.841 17.997
-2.907 0.585 22.833
0.163 2.261 22.837
4.590 2.131 0.054
1.900 2.229 16.520
1.738 1.328 9.381
-1.458 0.692 20.867
1.566 1.341 11.701
4.114 2.009 8.087
3.037 0.638 1.263
4.843 2.009 4.468
-0.610 -0.585 10.277
2.182 1.919 18.834
2.464 2.229 21.148
4.368 2.131 12.502
4.201 2.261 14.830
0.839 -0.692 8.311
0.680 0.054 20.325
0.740 -0.638 13.819
1.326 0.035 17.397
2.977 -0.054 7.769
3.663 0.651 10.709
5.294 0.651 1.847
3.623 -0.035 4.841
4.444 1.841 19.671
7.391 1.341 0.855
7.219 1.328 3.175
-0.559 -1.328 21.937
-0.731 -1.341 24.257
2.216 -1.841 5.441
3.037 0.035 20.270
1.366 -0.651 23.265
2.997 -0.651 14.403
3.684 0.054 17.343
5.334 -0.035 7.714
5.920 0.638 11.293
5.980 -0.054 4.787
5.821 0.692 16.801
2.459 -2.261 10.281
2.293 -2.131 12.609
4.197 -2.229 3.964
4.479 -1.919 6.278
7.270 0.585 14.835
1.817 -2.009 20.643
3.623 -0.638 23.849
2.546 -2.009 17.024
5.094 -1.341 13.411
8.118 -0.692 4.245
4.922 -1.328 15.730
4.760 -2.229 8.592
2.071 -2.131 25.058
6.498 -2.261 2.275
9.567 -0.585 2.279
6.741 -1.841 7.115
```

---

No. 4
## Li2HClO (PBE-GGA)

Data for crystalline Li2HClO at its relaxed geometry.

Computed properties:
Total energy (eV per formula unit): -22.37
ΔH_f (0 K) (meV/atom): -1810
Space-group type: Pnma (62)
Volume (Å³/cell): 309.6

Structure (POSCAR):
```
Li2HClO
1.0
9.531 0.000 0.000
0.000 5.558 0.000
0.000 0.000 5.844
Li H Cl O
8 4 4 4
Cartesian
1.173 5.557 0.409
1.173 2.779 0.409
3.593 0.000 3.331
3.593 2.779 3.331
5.938 5.557 2.513
5.938 2.779 2.513
8.358 0.000 5.435
8.358 2.779 5.435
0.518 1.389 4.350
4.247 4.168 1.428
5.284 1.389 4.416
9.013 4.168 1.494
1.830 1.389 2.348
2.935 4.168 5.270
6.596 1.389 0.574
7.701 4.168 3.496
0.199 1.389 5.276
4.567 4.168 2.354
4.964 1.389 3.490
9.332 4.168 0.568
```

---

No. 5
## ScTlRh2 (PBE-GGA)

Data for crystalline ScTlRh2 at its relaxed geometry.

Computed properties:
Total energy (eV per formula unit): -25.75
ΔH_f (0 K) (meV/atom): -582
Space-group type: Fm-3m (225)
Volume (Å³/cell): 69.3

Structure (POSCAR):
```
ScTlRh2
1.0
0.000 3.260 3.260
3.260 0.000 3.260
3.260 3.260 0.000
Sc Tl Rh
1 1 2
Cartesian
0.000 0.000 0.000
3.260 3.260 3.260
1.630 1.630 1.630
4.890 4.890 4.890
```

---

No. 6
## GdHSO5 (PBE-GGA)

Data for crystalline GdHSO5 at its relaxed geometry.

Computed properties:
Total energy (eV per formula unit): -62.97
ΔH_f (0 K) (meV/atom): -2508
Space-group type: P2_1/c (14)
Volume (Å³/cell): 362.1

Structure (POSCAR):
```
GdHSO5
1.0
4.446 0.000 0.000
0.000 12.345 0.000
-2.483 0.000 6.598
Gd H S O
4 4 4 20
Cartesian
-0.018 0.748 1.971
-1.259 5.425 5.270
3.222 6.920 1.328
1.980 11.597 4.627
-1.497 8.061 6.506
-0.255 10.457 3.207
2.218 1.888 3.391
3.459 4.285 0.092
-0.380 1.833 5.888
0.862 4.340 2.589
1.101 8.006 4.009
2.342 10.512 0.710
-1.491 0.867 6.262
-0.249 5.306 2.963
0.943 7.167 0.306
-0.299 11.351 3.605
0.249 3.067 2.172
-0.993 3.106 5.471
0.237 8.215 2.844
-1.004 10.303 6.143
0.359 1.241 4.749
1.601 4.932 1.450
0.361 7.413 5.147
1.603 11.104 1.849
2.967 2.042 0.455
1.725 4.130 3.754
2.955 9.239 1.127
1.714 9.278 4.426
2.261 0.994 2.993
1.020 5.178 6.292
2.212 7.039 3.634
3.453 11.478 0.335
```

---

No. 7
## CaB3HO6 (PBE-GGA)

Data for crystalline CaB3HO6 at its relaxed geometry.

Computed properties:
Total energy (eV per formula unit): -82.08
ΔH_f (0 K) (meV/atom): -2825
Space-group type: Pna2_1 (33)
Volume (Å³/cell): 426.2

Structure (POSCAR):
```
CaB3HO6
1.0
13.614 0.000 0.000
0.000 7.055 0.000
0.000 0.000 4.437
Ca B H O
4 12 4 24
Cartesian
1.281 1.430 0.000
5.526 4.957 2.219
8.088 2.098 0.000
12.333 5.625 2.219
0.985 5.056 0.144
1.980 5.960 2.449
3.133 4.197 3.719
3.674 0.669 1.500
4.826 2.432 0.231
5.821 1.528 2.362
7.792 5.527 0.144
8.787 4.623 2.449
9.940 6.386 3.719
10.481 2.858 1.500
11.633 1.095 0.231
12.628 1.999 2.362
0.631 3.349 2.121
6.176 6.877 4.339
7.438 0.178 2.121
12.983 3.706 4.339
0.432 2.395 2.026
0.967 5.349 1.576
1.331 6.218 3.752
1.934 3.895 4.328
2.437 0.182 1.860
3.176 5.093 2.667
3.631 1.565 0.449
4.370 3.709 4.079
4.873 0.367 2.109
5.475 2.691 1.534
5.840 1.822 3.794
6.375 5.923 4.245
7.239 1.132 2.026
7.774 5.233 1.576
8.138 4.364 3.752
8.741 6.688 4.328
9.244 3.346 1.860
9.982 5.490 2.667
10.438 1.962 0.449
11.177 6.873 4.079
11.680 3.160 2.109
12.282 0.837 1.534
12.647 1.706 3.794
13.182 4.660 4.245
```

---

No. 8
## EuSbAu (PBE-GGA)

Data for crystalline EuSbAu at its relaxed geometry.

Computed properties:
Total energy (eV per formula unit): -20.28
ΔH_f (0 K) (meV/atom): -874
Space-group type: P6_3/mmc (194)
Volume (Å³/cell): 163.1

Structure (POSCAR):
```
EuSbAu
1.0
4.748 0.000 0.000
-2.374 4.112 0.000
0.000 0.000 8.355
Eu Sb Au
2 2 2
Cartesian
0.000 0.000 0.000
0.000 0.000 4.177
0.000 2.741 2.089
2.374 1.371 6.266
0.000 2.741 6.266
2.374 1.371 2.089
```